Record 1
Dy9Al5S21 | PBE-GGA | relaxed

abc: 11.411 11.411 11.411
angles: 94.58 94.58 94.58
Fractional positions:
Dy  0.115  0.878  0.741
Dy  0.456  0.222  0.074
Dy  0.771  0.550  0.399
Dy  0.399  0.771  0.550
Dy  0.741  0.115  0.878
Dy  0.074  0.456  0.222
Dy  0.222  0.074  0.456
Dy  0.550  0.399  0.771
Dy  0.878  0.741  0.115
Dy  0.208  0.438  0.582
Dy  0.548  0.780  0.929
Dy  0.874  0.104  0.245
Dy  0.929  0.548  0.780
Dy  0.245  0.874  0.104
Dy  0.582  0.208  0.438
Dy  0.104  0.245  0.874
Dy  0.438  0.582  0.208
Dy  0.780  0.929  0.548
Al  0.721  0.388  0.050
Al  0.050  0.721  0.388
Al  0.388  0.050  0.721
Al  0.884  0.226  0.549
Al  0.226  0.549  0.884
Al  0.549  0.884  0.226
Al  0.855  0.855  0.855
Al  0.171  0.171  0.171
Al  0.671  0.671  0.671
Al  0.355  0.355  0.355
S  0.842  0.511  0.175
S  0.175  0.842  0.511
S  0.511  0.175  0.842
S  0.675  0.010  0.343
S  0.010  0.343  0.675
S  0.343  0.675  0.010
S  0.554  0.406  0.309
S  0.891  0.756  0.663
S  0.237  0.096  0.997
S  0.997  0.237  0.096
S  0.309  0.554  0.406
S  0.663  0.891  0.756
S  0.756  0.663  0.891
S  0.096  0.997  0.237
S  0.406  0.309  0.554
S  0.149  0.284  0.376
S  0.484  0.621  0.726
S  0.791  0.942  0.036
S  0.726  0.484  0.621
S  0.036  0.791  0.942
S  0.376  0.149  0.284
S  0.942  0.036  0.791
S  0.284  0.376  0.149
S  0.621  0.726  0.484
S  0.539  0.446  0.011
S  0.869  0.782  0.356
S  0.203  0.104  0.694
S  0.694  0.203  0.104
S  0.011  0.539  0.446
S  0.356  0.869  0.782
S  0.782  0.356  0.869
S  0.104  0.694  0.203
S  0.446  0.011  0.539
S  0.964  0.066  0.475
S  0.299  0.385  0.810
S  0.630  0.720  0.157
S  0.810  0.299  0.385
S  0.157  0.630  0.720
S  0.475  0.964  0.066
S  0.720  0.157  0.630
S  0.066  0.475  0.964
S  0.385  0.810  0.299

Symmetry: No. 146
Formation energy: -2.02 eV per atom

Record 2
DyAl2Si2 | PBE-GGA | relaxed

abc: 4.215 4.215 6.557
angles: 90.00 90.00 120.00
Fractional positions:
Dy  0.000  0.000  0.000
Al  0.667  0.333  0.355
Al  0.333  0.667  0.645
Si  0.667  0.333  0.741
Si  0.333  0.667  0.259

Symmetry: No. 164
Formation energy: -0.35 eV per atom

Record 3
Dy12Al7Si | PBE-GGA | relaxed

abc: 11.237 11.237 11.237
angles: 117.45 117.45 94.47
Fractional positions:
Dy  0.148  0.648  0.500
Dy  0.852  0.352  0.500
Dy  0.648  0.148  0.500
Dy  0.352  0.852  0.500
Dy  0.837  0.701  0.265
Dy  0.163  0.299  0.735
Dy  0.436  0.572  0.735
Dy  0.701  0.436  0.864
Dy  0.064  0.799  0.136
Dy  0.564  0.428  0.265
Dy  0.299  0.564  0.136
Dy  0.936  0.201  0.864
Dy  0.572  0.837  0.136
Dy  0.663  0.928  0.864
Dy  0.428  0.163  0.864
Dy  0.337  0.072  0.136
Dy  0.928  0.064  0.265
Dy  0.072  0.936  0.735
Dy  0.799  0.663  0.735
Dy  0.201  0.337  0.265
Dy  0.170  0.670  0.840
Dy  0.830  0.330  0.160
Dy  0.670  0.830  0.500
Dy  0.330  0.170  0.500
Al  0.618  0.118  0.735
Al  0.382  0.882  0.265
Al  0.118  0.382  0.500
Al  0.882  0.618  0.500
Al  0.500  0.500  0.000
Al  0.000  0.000  0.000
Al  0.382  0.882  0.857
Al  0.618  0.118  0.143
Al  0.025  0.525  0.143
Al  0.882  0.025  0.500
Al  0.475  0.618  0.500
Al  0.975  0.475  0.857
Al  0.118  0.975  0.500
Al  0.525  0.382  0.500
Si  0.750  0.750  0.000
Si  0.250  0.250  0.000

Symmetry: No. 140
Formation energy: -0.37 eV per atom
Total magnetic moment: 1.35 μB/cell

Record 4
DyAlSi | PBE-GGA | relaxed

abc: 5.517 5.517 5.686
angles: 90.00 90.00 137.29
Fractional positions:
Dy  0.694  0.306  0.250
Dy  0.306  0.694  0.750
Al  0.000  0.000  0.000
Al  0.000  0.000  0.500
Si  0.400  0.600  0.250
Si  0.600  0.400  0.750

Symmetry: No. 63
Formation energy: -0.60 eV per atom

Record 5
DyAlSi | PBE-GGA | relaxed

abc: 7.805 7.805 7.805
angles: 149.58 149.58 43.55
Fractional positions:
Dy  0.624  0.124  0.500
Dy  0.874  0.874  0.000
Al  0.458  0.458  0.000
Al  0.208  0.708  0.500
Si  0.043  0.543  0.500
Si  0.293  0.293  0.000

Symmetry: No. 109
Formation energy: -0.57 eV per atom
Total magnetic moment: 0.01 μB/cell

Record 6
TbDy3Al8 | PBE-GGA | relaxed

abc: 9.641 9.641 9.641
angles: 33.56 33.56 33.56
Fractional positions:
Tb  0.813  0.813  0.813
Dy  0.313  0.313  0.313
Dy  0.688  0.688  0.688
Dy  0.187  0.187  0.187
Al  0.500  0.500  0.500
Al  0.000  0.000  0.000
Al  0.250  0.250  0.750
Al  0.750  0.750  0.250
Al  0.250  0.750  0.250
Al  0.750  0.250  0.750
Al  0.750  0.250  0.250
Al  0.250  0.750  0.750

Symmetry: No. 160
Formation energy: -0.53 eV per atom

Record 7
Tb3DyAl8 | PBE-GGA | relaxed

abc: 9.654 9.654 9.654
angles: 33.56 33.56 33.56
Fractional positions:
Tb  0.187  0.187  0.187
Tb  0.813  0.813  0.813
Tb  0.313  0.313  0.313
Dy  0.687  0.687  0.687
Al  0.000  0.000  0.000
Al  0.500  0.500  0.500
Al  0.750  0.250  0.250
Al  0.250  0.750  0.750
Al  0.250  0.750  0.250
Al  0.750  0.250  0.750
Al  0.250  0.250  0.750
Al  0.750  0.750  0.250

Symmetry: No. 160
Formation energy: -0.53 eV per atom

Record 8
DyYAl2 | PBE-GGA | relaxed

abc: 5.093 5.093 5.093
angles: 60.00 60.00 60.00
Fractional positions:
Dy  0.500  0.500  0.500
Y  0.000  0.000  0.000
Al  0.750  0.750  0.750
Al  0.250  0.250  0.250

Symmetry: No. 225
Formation energy: -0.41 eV per atom

Record 9
ErAl3 | PBE-GGA | relaxed

abc: 12.478 12.478 12.478
angles: 28.11 28.11 28.11
Fractional positions:
Er  0.000  0.000  0.000
Er  0.131  0.131  0.131
Er  0.869  0.869  0.869
Er  0.400  0.400  0.400
Er  0.600  0.600  0.600
Al  0.131  0.635  0.635
Al  0.635  0.635  0.131
Al  0.635  0.131  0.635
Al  0.365  0.869  0.365
Al  0.365  0.365  0.869
Al  0.869  0.365  0.365
Al  0.432  0.883  0.883
Al  0.883  0.883  0.432
Al  0.883  0.432  0.883
Al  0.117  0.568  0.117
Al  0.117  0.117  0.568
Al  0.568  0.117  0.117
Al  0.500  0.500  0.000
Al  0.500  0.000  0.500
Al  0.000  0.500  0.500

Symmetry: No. 166
Formation energy: -0.42 eV per atom

Record 10
ErAl3 | PBE-GGA | relaxed

abc: 4.233 4.233 4.233
angles: 90.00 90.00 90.00
Fractional positions:
Er  0.000  0.000  0.000
Al  0.000  0.500  0.500
Al  0.500  0.500  0.000
Al  0.500  0.000  0.500

Symmetry: No. 221
Formation energy: -0.42 eV per atom

Record 11
Er4Al | PBE-GGA | relaxed

abc: 7.812 7.812 7.812
angles: 60.00 60.00 60.00
Fractional positions:
Er  0.394  0.394  0.394
Er  0.394  0.394  0.817
Er  0.394  0.817  0.394
Er  0.856  0.856  0.433
Er  0.856  0.856  0.856
Er  0.817  0.394  0.394
Er  0.856  0.433  0.856
Er  0.433  0.856  0.856
Al  0.000  0.000  0.000
Al  0.250  0.250  0.250

Symmetry: No. 227
Formation energy: 0.52 eV per atom
Total magnetic moment: 0.09 μB/cell

Record 12
ErAl3 | PBE-GGA | relaxed

abc: 6.218 6.218 4.628
angles: 90.00 90.00 120.00
Fractional positions:
Er  0.667  0.333  0.250
Er  0.333  0.667  0.750
Al  0.851  0.149  0.750
Al  0.299  0.149  0.750
Al  0.851  0.701  0.750
Al  0.149  0.851  0.250
Al  0.701  0.851  0.250
Al  0.149  0.299  0.250

Symmetry: No. 194
Formation energy: -0.41 eV per atom

Record 13
Er3Al2 | PBE-GGA | relaxed

abc: 8.159 8.159 7.537
angles: 90.00 90.00 90.00
Fractional positions:
Er  0.500  0.000  0.250
Er  0.500  0.000  0.750
Er  0.000  0.500  0.250
Er  0.000  0.500  0.750
Er  0.151  0.151  0.000
Er  0.651  0.349  0.500
Er  0.349  0.651  0.500
Er  0.849  0.849  0.000
Er  0.299  0.701  0.000
Er  0.201  0.201  0.500
Er  0.799  0.799  0.500
Er  0.701  0.299  0.000
Al  0.381  0.381  0.197
Al  0.881  0.119  0.697
Al  0.119  0.881  0.697
Al  0.619  0.619  0.197
Al  0.119  0.881  0.303
Al  0.881  0.119  0.303
Al  0.381  0.381  0.803
Al  0.619  0.619  0.803

Symmetry: No. 136
Formation energy: -0.33 eV per atom

Record 14
ErAl2 | PBE-GGA | relaxed

abc: 5.531 5.531 5.531
angles: 60.00 60.00 60.00
Fractional positions:
Er  0.500  0.500  0.500
Er  0.750  0.750  0.750
Al  0.125  0.125  0.125
Al  0.625  0.125  0.125
Al  0.125  0.625  0.125
Al  0.125  0.125  0.625

Symmetry: No. 227
Formation energy: -0.51 eV per atom

Record 15
Er3Al4Fe2 | PBE-GGA | relaxed

abc: 5.342 5.360 13.265
angles: 90.58 89.00 119.13
Fractional positions:
Er  0.339  0.670  0.919
Er  0.007  0.999  0.246
Er  0.669  0.332  0.583
Er  0.331  0.668  0.667
Er  0.993  0.001  0.004
Er  0.661  0.330  0.331
Al  0.168  0.335  0.458
Al  0.832  0.665  0.792
Al  0.340  0.678  0.287
Al  0.000  0.000  0.625
Al  0.660  0.322  0.963
Al  0.000  0.500  0.125
Al  0.666  0.832  0.458
Al  0.334  0.168  0.792
Fe  0.500  0.500  0.125
Fe  0.165  0.833  0.459
Fe  0.835  0.167  0.791
Fe  0.500  0.000  0.125

Symmetry: No. 2
Formation energy: -0.38 eV per atom
Total magnetic moment: 6.91 μB/cell

Record 16
ErAl8Fe4 | PBE-GGA | relaxed

abc: 6.628 6.628 6.628
angles: 98.24 98.24 135.52
Fractional positions:
Er  0.000  0.000  0.000
Al  0.660  0.000  0.660
Al  0.000  0.660  0.660
Al  0.000  0.340  0.340
Al  0.340  0.000  0.340
Al  0.720  0.500  0.220
Al  0.500  0.720  0.220
Al  0.500  0.280  0.780
Al  0.280  0.500  0.780
Fe  0.500  0.500  0.500
Fe  0.000  0.000  0.500
Fe  0.500  0.000  0.000
Fe  0.000  0.500  0.000

Symmetry: No. 139
Formation energy: -0.43 eV per atom